Entry 1:
# NaSrP

A relaxed structure of NaSrP (r²SCAN, the Materials Project).

```
9
Lattice="-1.3372 -4.2632 -6.2279 -3.2207 -1.8814 6.6960 -3.5501 2.5581 -0.9888" Properties=species:S:1:pos:R:3 pbc="T T T"
Na -2.4423 -1.4267 5.0778
Na -1.0141 -3.2329 -4.7228
Na -1.1015 -1.4849 0.1131
P -1.7751 1.2790 -0.4944
P -2.5929 -2.6753 2.3881
P -1.9650 -3.4692 -1.9199
Sr -3.1110 0.4987 2.2831
Sr -4.4424 -2.3168 -0.2204
Sr -2.3297 -0.4893 -3.0777
```

Properties
Energy relative to the elements = -0.964 eV/atom

---

Entry 2:
# CuHgSBr

A relaxed structure of CuHgSBr (r²SCAN, the Materials Project).

```
32
Lattice="-0.7764 1.1935 -3.8099 -9.6987 -2.2820 1.2617 -3.3282 17.5610 6.1793" Properties=species:S:1:pos:R:3 pbc="T T T"
Cu -2.3671 6.6801 0.4039
Cu -5.6779 5.8531 0.8196
Cu -3.9709 15.4268 3.4707
Cu -7.2991 14.6917 3.9187
Cu -8.1254 10.6194 2.8114
Cu -9.8324 1.0457 0.1603
Cu -6.5042 1.7808 -0.2877
Cu -11.4362 9.7924 3.2271
Br -9.4148 8.1672 2.3061
Br -5.3461 13.4385 3.1281
Br -3.6986 4.6541 0.0407
Br -4.3884 8.3053 1.3250
Br -10.1047 11.8184 3.5904
Br -6.0400 17.0887 4.4130
Br -8.4572 3.0339 0.5029
Br -7.7632 -0.6163 -0.7820
S -12.4920 13.0665 6.6389
S -0.5349 2.2125 0.8021
S -10.8522 4.2831 3.5533
S -6.1998 5.3749 2.9472
S -6.8270 9.9041 4.4938
S -7.8406 14.1638 6.0347
S -5.1863 1.1152 1.4063
S -2.1746 10.9959 3.8877
Hg -1.6641 8.7805 3.0896
Hg -4.5409 10.6605 4.2648
Hg 0.0000 0.0000 0.0000
Hg -6.5134 7.6395 3.7205
Hg -10.1265 13.4045 6.2627
Hg -2.9004 1.8745 1.1783
Hg -4.8494 -1.1410 0.6308
Hg -8.4860 4.6185 3.1761
```

Properties
Energy relative to the elements = -0.362 eV/atom

---

Entry 3:
# SmMgAg

A relaxed structure of SmMgAg (r²SCAN, the Materials Project).

```
9
Lattice="-7.1985 2.4654 1.1183 2.0932 -6.9883 2.4351 1.1550 1.6607 3.7732" Properties=species:S:1:pos:R:3 pbc="T T T"
Mg -5.4701 1.8734 0.8498
Mg 1.5906 -5.3103 1.8504
Mg -1.2259 -1.0860 0.8532
Ag -4.1013 -0.6858 1.5573
Ag 0.5775 0.8304 1.8866
Ag -1.0040 -3.8371 1.9962
Sm -2.4097 1.8535 2.3507
Sm 1.4461 -2.0696 2.8971
Sm -2.4093 -1.8156 3.9655
```

Properties
Energy relative to the elements = -0.270 eV/atom

---

Entry 4:
# Hf5Ge3

A relaxed structure of Hf5Ge3 (r²SCAN, the Materials Project).

```
16
Lattice="7.9417 0.0000 0.0000 -3.9708 6.8777 0.0000 0.0000 0.0000 5.5263" Properties=species:S:1:pos:R:3 pbc="T T T"
Hf -2.9659 5.1372 4.1447
Hf 1.0049 1.7406 4.1447
Hf 0.0000 4.5851 0.0000
Hf 1.9610 6.8777 4.1447
Hf 0.0000 4.5851 2.7631
Hf -1.9610 6.8777 1.3816
Hf 3.9708 2.2926 0.0000
Hf 2.9659 5.1372 1.3816
Hf -1.0049 1.7406 1.3816
Hf 3.9708 2.2926 2.7631
Ge 2.4252 4.2007 4.1447
Ge 0.8797 6.8777 1.3816
Ge -2.4252 4.2007 1.3816
Ge -0.8797 6.8777 4.1447
Ge -1.5456 2.6770 4.1447
Ge 1.5456 2.6770 1.3816
```

Properties
Energy relative to the elements = -0.740 eV/atom